(1)
Li3V2C2O10, optimized geometry, DFT PBE+U; formation enthalpy at 0 K = -2.19 eV/atom; space-group type = No. 26; E = -6.987 eV/atom
1.0
-1.330 3.983 -3.951
2.205 -6.190 -6.983
-11.253 -3.875 -0.118
V C Li O
8 8 12 40
direct
0.750 0.494 0.388 V
0.750 0.010 0.611 V
0.250 0.494 0.388 V
0.750 0.506 0.888 V
0.750 0.990 0.111 V
0.250 0.990 0.111 V
0.250 0.010 0.611 V
0.250 0.506 0.888 V
0.250 0.491 0.639 C
0.750 0.491 0.639 C
0.249 0.988 0.862 C
0.751 0.012 0.362 C
0.751 0.988 0.862 C
0.750 0.509 0.139 C
0.250 0.509 0.139 C
0.249 0.012 0.362 C
0.000 0.748 0.720 Li
0.000 0.252 0.220 Li
0.500 0.252 0.218 Li
0.746 0.753 0.497 Li
0.000 0.247 0.779 Li
0.500 0.748 0.002 Li
0.500 0.252 0.502 Li
0.746 0.247 0.997 Li
0.500 0.748 0.718 Li
0.254 0.247 0.997 Li
0.254 0.753 0.497 Li
0.000 0.753 0.279 Li
0.500 0.880 0.578 O
0.238 0.118 0.863 O
0.750 0.623 0.638 O
0.500 0.874 0.143 O
0.749 0.915 0.767 O
0.740 0.089 0.454 O
0.244 0.580 0.233 O
0.500 0.628 0.855 O
0.000 0.882 0.576 O
0.500 0.615 0.426 O
0.250 0.377 0.138 O
0.256 0.585 0.047 O
0.000 0.619 0.424 O
0.260 0.911 0.954 O
0.000 0.623 0.853 O
0.762 0.118 0.863 O
0.750 0.377 0.138 O
0.260 0.089 0.454 O
0.000 0.118 0.076 O
0.749 0.085 0.267 O
0.244 0.420 0.733 O
0.756 0.420 0.733 O
0.740 0.911 0.954 O
0.744 0.585 0.047 O
0.500 0.372 0.355 O
0.250 0.623 0.638 O
0.500 0.385 0.926 O
0.251 0.915 0.767 O
0.744 0.415 0.547 O
0.762 0.882 0.363 O
0.000 0.377 0.353 O
0.500 0.120 0.078 O
0.251 0.085 0.267 O
0.238 0.882 0.363 O
0.756 0.580 0.233 O
0.500 0.126 0.643 O
0.000 0.123 0.648 O
0.256 0.415 0.547 O
0.000 0.381 0.924 O
0.000 0.877 0.148 O



(2)
MnFe7P8O32, optimized geometry, DFT PBE+U; formation enthalpy at 0 K = -2.33 eV/atom; space-group type = No. 6; E = -7.132 eV/atom
1.0
-6.859 2.381 -9.444
-3.952 -1.401 2.517
-1.266 9.299 3.264
O P Fe Mn
32 8 7 1
direct
0.249 0.654 0.947 O
0.348 0.771 0.672 O
0.899 0.226 0.328 O
0.249 0.228 0.619 O
0.751 0.228 0.619 O
0.852 0.774 0.671 O
0.000 0.150 0.553 O
0.101 0.226 0.328 O
0.000 0.349 0.054 O
0.149 0.727 0.172 O
0.000 0.727 0.882 O
0.851 0.727 0.172 O
0.398 0.282 0.828 O
0.500 0.734 0.880 O
0.249 0.850 0.447 O
0.652 0.771 0.672 O
0.148 0.774 0.671 O
0.500 0.149 0.555 O
0.000 0.772 0.381 O
0.649 0.727 0.172 O
0.602 0.282 0.828 O
0.601 0.225 0.330 O
0.749 0.274 0.119 O
0.751 0.654 0.947 O
0.351 0.727 0.172 O
0.101 0.274 0.829 O
0.899 0.274 0.829 O
0.751 0.850 0.447 O
0.251 0.274 0.119 O
0.500 0.770 0.383 O
0.500 0.359 0.052 O
0.399 0.225 0.330 O
0.250 0.583 0.097 P
0.500 0.419 0.900 P
0.000 0.081 0.403 P
0.750 0.583 0.097 P
0.752 0.919 0.597 P
0.000 0.418 0.904 P
0.248 0.919 0.597 P
0.500 0.079 0.404 P
0.251 0.466 0.775 Fe
0.000 0.532 0.227 Fe
0.500 0.531 0.227 Fe
0.750 0.031 0.273 Fe
0.250 0.031 0.273 Fe
0.000 0.970 0.728 Fe
0.749 0.466 0.775 Fe
0.500 0.939 0.718 Mn



(3)
CaMo2O4, optimized geometry, DFT PBE+U; formation enthalpy at 0 K = -2.30 eV/atom; space-group type = No. 227; E = -7.202 eV/atom
1.0
0.000 4.655 4.655
4.655 0.000 4.655
4.655 4.655 0.000
Mo O Ca
4 8 2
direct
0.125 0.625 0.125 Mo
0.125 0.125 0.125 Mo
0.625 0.125 0.125 Mo
0.125 0.125 0.625 Mo
0.360 0.360 0.921 O
0.890 0.329 0.890 O
0.890 0.890 0.890 O
0.329 0.890 0.890 O
0.890 0.890 0.329 O
0.360 0.360 0.360 O
0.921 0.360 0.360 O
0.360 0.921 0.360 O
0.750 0.750 0.750 Ca
0.500 0.500 0.500 Ca



(4)
BaLa2Co3O9, optimized geometry, DFT PBE+U; formation enthalpy at 0 K = -2.35 eV/atom; space-group type = No. 1; E = -6.790 eV/atom
1.0
3.934 0.002 3.918
-0.003 3.931 3.924
-7.803 -7.775 7.768
O Co La Ba
18 6 4 2
direct
0.828 0.344 0.174 O
0.827 0.823 0.173 O
0.995 0.502 0.003 O
0.512 0.977 0.498 O
0.177 0.172 0.327 O
0.342 0.831 0.675 O
0.016 0.490 0.497 O
0.169 0.659 0.325 O
0.348 0.824 0.172 O
0.169 0.658 0.828 O
0.830 0.827 0.673 O
0.496 0.497 0.001 O
0.823 0.357 0.670 O
0.650 0.172 0.328 O
0.503 0.990 0.001 O
0.175 0.181 0.829 O
0.654 0.174 0.826 O
0.496 0.490 0.498 O
0.333 0.338 0.918 Co
0.664 0.671 0.584 Co
0.001 0.998 0.249 Co
0.666 0.666 0.084 Co
0.999 0.004 0.750 Co
0.334 0.333 0.416 Co
0.329 0.345 0.673 La
0.668 0.666 0.328 La
0.667 0.677 0.832 La
0.330 0.334 0.169 La
0.001 0.999 0.500 Ba
0.999 0.001 0.001 Ba



(5)
Li2FePCO7, optimized geometry, DFT PBE+U; formation enthalpy at 0 K = -2.28 eV/atom; space-group type = No. 1; E = -6.825 eV/atom
1.0
6.504 0.000 0.000
0.106 9.374 0.000
0.064 4.630 8.996
O P C Li Fe
28 4 4 8 4
direct
0.061 0.249 0.448 O
0.435 0.246 0.436 O
0.257 0.479 0.061 O
0.756 0.180 0.656 O
0.726 0.682 0.156 O
0.781 0.368 0.734 O
0.563 0.767 0.554 O
0.226 0.320 0.846 O
0.773 0.862 0.718 O
0.217 0.133 0.766 O
0.938 0.241 0.075 O
0.936 0.737 0.564 O
0.782 0.020 0.439 O
0.248 0.065 0.012 O
0.566 0.264 0.042 O
0.227 0.819 0.345 O
0.780 0.866 0.235 O
0.741 0.435 0.489 O
0.066 0.753 0.944 O
0.233 0.138 0.283 O
0.760 0.935 0.988 O
0.721 0.362 0.216 O
0.258 0.565 0.512 O
0.276 0.634 0.265 O
0.439 0.742 0.937 O
0.781 0.520 0.941 O
0.226 0.638 0.783 O
0.237 0.978 0.561 O
0.752 0.348 0.071 P
0.244 0.151 0.429 P
0.760 0.848 0.572 P
0.247 0.651 0.928 P
0.760 0.331 0.630 C
0.252 0.670 0.370 C
0.229 0.170 0.871 C
0.755 0.831 0.130 C
0.033 0.988 0.735 Li
0.734 0.167 0.928 Li
0.256 0.834 0.069 Li
0.464 0.488 0.235 Li
0.968 0.513 0.763 Li
0.970 0.012 0.262 Li
0.253 0.332 0.570 Li
0.748 0.667 0.430 Li
0.261 0.265 0.065 Fe
0.754 0.235 0.436 Fe
0.746 0.734 0.936 Fe
0.259 0.765 0.564 Fe



(6)
Mn5O8, optimized geometry, DFT PBE+U; formation enthalpy at 0 K = -1.96 eV/atom; space-group type = No. 12; E = -7.461 eV/atom
1.0
2.908 5.231 0.000
-2.908 5.231 0.000
0.000 1.643 4.664
O Mn
8 5
direct
0.605 0.605 0.067 O
0.886 0.337 0.605 O
0.103 0.103 0.092 O
0.897 0.897 0.908 O
0.663 0.114 0.395 O
0.337 0.886 0.605 O
0.114 0.663 0.395 O
0.395 0.395 0.933 O
0.259 0.741 0.000 Mn
0.721 0.721 0.344 Mn
0.279 0.279 0.656 Mn
0.741 0.259 0.000 Mn
0.000 0.000 0.500 Mn



(7)
Li9Mn2Co5O16, optimized geometry, DFT PBE+U; formation enthalpy at 0 K = -1.65 eV/atom; space-group type = No. 1; E = -5.643 eV/atom
1.0
5.112 0.000 0.000
1.610 5.666 0.000
2.487 2.209 9.894
Li Co O Mn
9 5 16 2
direct
0.505 0.562 0.622 Li
0.501 0.928 0.382 Li
0.497 0.190 0.872 Li
0.999 0.253 0.499 Li
0.503 0.811 0.126 Li
0.497 0.694 0.868 Li
0.507 0.070 0.622 Li
0.496 0.317 0.126 Li
0.499 0.428 0.384 Li
0.992 0.376 0.742 Co
0.005 0.117 0.252 Co
0.004 0.885 0.739 Co
0.994 0.504 0.001 Co
0.001 0.745 0.501 Co
0.789 0.951 0.186 O
0.238 0.760 0.310 O
0.776 0.324 0.949 O
0.761 0.225 0.695 O
0.772 0.860 0.936 O
0.777 0.480 0.178 O
0.223 0.144 0.072 O
0.235 0.430 0.565 O
0.227 0.036 0.825 O
0.773 0.597 0.422 O
0.783 0.076 0.425 O
0.224 0.297 0.300 O
0.218 0.672 0.061 O
0.758 0.721 0.687 O
0.208 0.529 0.826 O
0.238 0.903 0.573 O
0.003 0.615 0.253 Mn
0.000 0.002 0.000 Mn



(8)
K2NiHgF6, optimized geometry, DFT PBE+U; formation enthalpy at 0 K = -2.42 eV/atom; space-group type = No. 225; E = -3.870 eV/atom
1.0
-4.537 -3.670 -1.834
0.400 -6.038 0.895
-3.592 -2.723 4.135
F Hg Ni K
6 1 1 2
direct
0.767 0.233 0.767 F
0.233 0.767 0.767 F
0.767 0.233 0.233 F
0.767 0.767 0.233 F
0.233 0.233 0.767 F
0.233 0.767 0.233 F
0.500 0.500 0.500 Hg
0.000 0.000 0.000 Ni
0.250 0.250 0.250 K
0.750 0.750 0.750 K



(9)
CaVSnWO6, optimized geometry, DFT PBE+U; formation enthalpy at 0 K = -2.26 eV/atom; space-group type = No. 216; E = -7.009 eV/atom
1.0
-3.751 4.049 1.327
-5.382 -0.433 -1.752
-4.127 -1.072 3.747
O W Sn V Ca
6 1 1 1 1
direct
0.258 0.258 0.742 O
0.258 0.742 0.258 O
0.742 0.258 0.742 O
0.742 0.258 0.258 O
0.258 0.742 0.742 O
0.742 0.742 0.258 O
0.500 0.500 0.500 W
0.750 0.750 0.750 Sn
0.000 0.000 0.000 V
0.250 0.250 0.250 Ca



(10)
CrO2, optimized geometry, DFT PBE+U; formation enthalpy at 0 K = -1.87 eV/atom; space-group type = No. 63; E = -7.264 eV/atom
1.0
1.432 -2.614 0.000
1.432 2.614 0.000
0.000 0.000 10.788
O Cr
4 2
direct
0.336 0.664 0.589 O
0.664 0.336 0.411 O
0.664 0.336 0.089 O
0.336 0.664 0.911 O
0.000 0.000 0.000 Cr
0.000 0.000 0.500 Cr



(11)
Sr2Co2O5, optimized geometry, DFT PBE+U; formation enthalpy at 0 K = -2.11 eV/atom; space-group type = No. 123; E = -6.068 eV/atom
1.0
-0.316 -2.857 4.806
-0.350 -4.794 -2.873
3.695 -0.306 0.061
O Co Sr
5 2 2
direct
0.271 0.729 0.500 O
0.729 0.271 0.500 O
0.271 0.271 0.500 O
0.729 0.729 0.500 O
0.000 0.000 0.000 O
0.000 0.000 0.500 Co
0.500 0.500 0.500 Co
0.500 0.000 0.000 Sr
0.000 0.500 0.000 Sr



(12)
CaMn8O13F3, optimized geometry, DFT PBE+U; formation enthalpy at 0 K = -2.06 eV/atom; space-group type = No. 1; E = -6.926 eV/atom
1.0
3.207 -2.953 -4.990
1.980 -4.370 3.591
-5.667 -4.929 -0.357
O Mn F Ca
13 8 3 1
direct
0.333 0.801 0.378 O
0.680 0.656 0.610 O
0.413 0.418 0.866 O
0.879 0.854 0.284 O
0.149 0.130 0.096 O
0.422 0.891 0.834 O
0.169 0.600 0.104 O
0.081 0.602 0.606 O
0.110 0.146 0.723 O
0.670 0.199 0.635 O
0.575 0.565 0.130 O
0.831 0.409 0.906 O
0.578 0.105 0.167 O
0.613 0.640 0.870 Mn
0.590 0.782 0.304 Mn
0.876 0.400 0.664 Mn
0.860 0.159 0.119 Mn
0.159 0.887 0.933 Mn
0.364 0.340 0.121 Mn
0.399 0.209 0.685 Mn
0.121 0.617 0.351 Mn
0.331 0.312 0.400 F
0.921 0.353 0.384 F
0.850 0.856 0.896 F
0.909 0.949 0.563 Ca



(13)
CaV2O4, optimized geometry, DFT PBE+U; formation enthalpy at 0 K = -2.43 eV/atom; space-group type = No. 4; E = -7.264 eV/atom
1.0
11.184 0.000 0.000
0.000 5.245 0.000
0.000 0.080 6.046
O V Ca
16 8 4
direct
0.395 0.163 0.499 O
0.604 0.842 0.496 O
0.411 0.691 0.255 O
0.401 0.660 0.742 O
0.104 0.158 0.504 O
0.104 0.170 0.003 O
0.089 0.678 0.251 O
0.901 0.340 0.258 O
0.401 0.171 0.004 O
0.911 0.309 0.745 O
0.597 0.351 0.252 O
0.895 0.837 0.501 O
0.097 0.649 0.748 O
0.589 0.322 0.749 O
0.604 0.830 0.997 O
0.901 0.829 0.996 O
0.500 0.508 0.999 V
0.499 0.504 0.497 V
0.989 0.005 0.252 V
0.000 0.492 0.001 V
0.011 0.988 0.746 V
0.999 0.496 0.503 V
0.489 0.995 0.748 V
0.511 0.012 0.254 V
0.251 0.968 0.251 Ca
0.750 0.653 0.251 Ca
0.250 0.347 0.749 Ca
0.751 0.032 0.749 Ca